Density functional theory data (PBE) for an optimized crystal structure of Na4MgTi2Si2O10.

a b c (Å): 6.4550 6.4550 5.8182
angles (deg): 90.00 90.00 90.00
Space group P4mm (No. 99)
Unique sites:
Na (0.2271, 0.2271, 0.0000)
Mg (0.5000, 0.5000, 0.2008)
Ti (0.0000, 0.0000, 0.5404)
Ti (0.5000, 0.5000, 0.5869)
Si (0.0000, 0.5000, 0.4939)
O (0.0000, 0.0000, 0.2359)
O (0.0000, 0.2932, 0.6656)
O (0.2090, 0.5000, 0.3298)
O (0.5000, 0.5000, 0.8927)

Excess energy over the best structure of this formula in the dataset ... 100.0 meV/atom
Formation enthalpy at 0 K ... -2.596 eV/atom
Total DFT energy (no corrections) ... -6.604 eV per atom


Density functional theory data (PBE) for an optimized crystal structure of HfMg6AlO8.

a b c (Å): 4.1794 4.1794 10.3487
angles (deg): 90.00 90.00 90.00
Space group P4/mmm (No. 123)
Unique sites:
Hf (0.0000, 0.0000, 0.0000)
Mg (0.0000, 0.5000, 0.2785)
Mg (0.5000, 0.5000, 0.0000)
Mg (0.5000, 0.5000, 0.5000)
Al (0.0000, 0.0000, 0.5000)
O (0.0000, 0.0000, 0.3231)
O (0.0000, 0.5000, 0.0000)
O (0.0000, 0.5000, 0.5000)
O (0.5000, 0.5000, 0.2795)

Excess energy over the best structure of this formula in the dataset ... 0.0 meV/atom
Formation enthalpy at 0 K ... -2.718 eV/atom
Total DFT energy (no corrections) ... -6.305 eV per atom


Density functional theory data (PBE) for an optimized crystal structure of Y2Fe17C2.

a b c (Å): 9.6695 8.5900 6.4930
angles (deg): 90.00 98.48 90.00
Space group C2/m (No. 12)
Unique sites:
Y (0.1548, 0.0000, 0.3378)
Fe (0.0000, 0.2113, 0.0000)
Fe (0.0000, 0.5000, 0.5000)
Fe (0.0960, 0.5000, 0.9040)
Fe (0.0975, 0.2538, 0.6579)
Fe (0.1429, 0.3576, 0.2852)
Fe (0.1563, 0.0000, 0.8517)
Fe (0.2500, 0.2500, 0.0000)
C (0.2500, 0.2500, 0.5000)

Formation enthalpy at 0 K ... -0.059 eV/atom
Total DFT energy (no corrections) ... -8.410 eV per atom


Density functional theory data (PBE) for an optimized crystal structure of Tm2ReC2.

a b c (Å): 6.5167 5.0364 9.7290
angles (deg): 90.00 90.00 90.00
Space group Pnma (No. 62)
Unique sites:
Tm (0.0312, 0.2500, 0.2181)
Tm (0.1822, 0.2500, 0.5560)
Re (0.2238, 0.2500, 0.8675)
C (0.0420, 0.7500, 0.2402)
C (0.1731, 0.7500, 0.5540)

Formation enthalpy at 0 K ... -0.461 eV/atom
Total DFT energy (no corrections) ... -8.431 eV per atom